--- A ---
# BaNaEuWO6 GGA+U optimized geometry
# SG = No. 216
data_BaNaEuWO6
_chemical_formula_sum 'Ba1 Na1 Eu1 W1 O6'
_symmetry_space_group_name_H-M 'P 1'
_symmetry_Int_Tables_number 1
_cell_length_a 6.026
_cell_length_b 6.026
_cell_length_c 6.026
_cell_angle_alpha 60.00
_cell_angle_beta 60.00
_cell_angle_gamma 60.00
loop_
_symmetry_equiv_pos_as_xyz
'x,y,z'
loop_
_atom_site_label
_atom_site_type_symbol
_atom_site_fract_x
_atom_site_fract_y
_atom_site_fract_z
O1 O 0.270 0.730 0.730
Ba1 Ba 0.750 0.750 0.750
O2 O 0.270 0.730 0.270
O3 O 0.270 0.270 0.730
Eu1 Eu 0.000 0.000 0.000
O4 O 0.730 0.270 0.270
O5 O 0.730 0.270 0.730
W1 W 0.500 0.500 0.500
O6 O 0.730 0.730 0.270
Na1 Na 0.250 0.250 0.250



--- B ---
# BaNaEuWO6 GGA+U optimized geometry
# SG = No. 48
data_BaNaEuWO6
_chemical_formula_sum 'Ba4 Na4 Eu4 W4 O24'
_symmetry_space_group_name_H-M 'P 1'
_symmetry_Int_Tables_number 1
_cell_length_a 8.477
_cell_length_b 8.428
_cell_length_c 8.463
_cell_angle_alpha 90.00
_cell_angle_beta 90.00
_cell_angle_gamma 90.00
loop_
_symmetry_equiv_pos_as_xyz
'x,y,z'
loop_
_atom_site_label
_atom_site_type_symbol
_atom_site_fract_x
_atom_site_fract_y
_atom_site_fract_z
Na1 Na 0.000 0.500 0.500
O1 O 0.522 0.720 0.234
O2 O 0.731 0.022 0.792
Ba1 Ba 0.500 0.500 0.500
O3 O 0.769 0.478 0.708
O4 O 0.022 0.780 0.734
W1 W 0.250 0.250 0.250
O5 O 0.478 0.280 0.234
O6 O 0.522 0.280 0.766
O7 O 0.726 0.211 0.523
O8 O 0.274 0.211 0.477
O9 O 0.774 0.289 0.977
Ba2 Ba 0.000 0.000 0.500
O10 O 0.226 0.289 0.023
Eu1 Eu 0.750 0.750 0.750
Na2 Na 0.500 0.000 0.500
O11 O 0.269 0.022 0.208
O12 O 0.231 0.478 0.292
W2 W 0.750 0.750 0.250
O13 O 0.269 0.978 0.792
Eu2 Eu 0.250 0.750 0.250
O14 O 0.231 0.522 0.708
W3 W 0.250 0.750 0.750
O15 O 0.731 0.978 0.208
O16 O 0.478 0.720 0.766
O17 O 0.769 0.522 0.292
Ba3 Ba 0.500 0.500 0.000
O18 O 0.726 0.789 0.477
O19 O 0.274 0.789 0.523
W4 W 0.750 0.250 0.750
O20 O 0.978 0.220 0.734
Na3 Na 0.500 0.000 0.000
Eu3 Eu 0.750 0.250 0.250
Eu4 Eu 0.250 0.250 0.750
O21 O 0.022 0.220 0.266
Na4 Na 0.000 0.500 0.000
O22 O 0.774 0.711 0.023
O23 O 0.978 0.780 0.266
Ba4 Ba 0.000 0.000 0.000
O24 O 0.226 0.711 0.977



In terms of stability, B leads; the second structure lies 15 meV/atom higher.